CeGa2Ni (PBE, optimized geometry); energy of formation from the pure elements = -0.577 eV/atom
1.0
2.086 -8.679 0.000
2.086 8.679 0.000
0.000 0.000 4.128
Ce Ga Ni
2 4 2
Direct
0.141 0.859 0.000 Ce
0.859 0.141 0.000 Ce
0.000 0.000 0.500 Ga
0.290 0.710 0.500 Ga
0.500 0.500 0.000 Ga
0.710 0.290 0.500 Ga
0.427 0.573 0.500 Ni
0.573 0.427 0.500 Ni